First-principles (PBE) data for crystalline Na4TiZn3SiS5O24 at its relaxed geometry, as listed in the Materials Project database.

The structure in CIF format:
```
data_Na4TiZn3SiS5O24
_cell_length_a 8.845
_cell_length_b 8.852
_cell_length_c 22.377
_cell_angle_alpha 89.73
_cell_angle_beta 89.44
_cell_angle_gamma 60.09
_symmetry_space_group_name_H-M 'P 1'
_symmetry_Int_Tables_number 1
loop_
_symmetry_equiv_pos_as_xyz
'x,y,z'
loop_
_atom_site_label
_atom_site_type_symbol
_atom_site_fract_x
_atom_site_fract_y
_atom_site_fract_z
_atom_site_occupancy
Na1 Na 0.000 0.000 0.000 1
Na2 Na 0.001 0.026 0.501 1
Na3 Na 0.002 0.648 0.247 1
Na4 Na 0.025 0.677 0.583 1
Na5 Na 0.316 0.334 0.668 1
Na6 Na 0.334 0.348 0.163 1
Na7 Na 0.352 0.018 0.253 1
Na8 Na 0.617 0.368 0.247 1
Na9 Na 0.652 0.695 0.835 1
Na10 Na 0.653 0.682 0.340 1
Na11 Na 0.665 0.313 0.579 1
Na12 Na 0.688 0.345 0.916 1
Ti1 Ti 0.647 0.692 0.184 1
Ti2 Ti 0.672 0.669 0.684 1
Ti3 Ti 0.995 0.994 0.349 1
Zn1 Zn 0.001 0.023 0.652 1
Zn2 Zn 0.002 0.002 0.848 1
Zn3 Zn 0.312 0.336 0.516 1
Zn4 Zn 0.320 0.348 0.015 1
Zn5 Zn 0.322 0.343 0.818 1
Zn6 Zn 0.336 0.342 0.318 1
Zn7 Zn 0.659 0.685 0.982 1
Zn8 Zn 0.662 0.669 0.483 1
Zn9 Zn 0.985 0.002 0.149 1
Si1 Si 0.283 0.717 0.247 1
Si2 Si 0.697 0.014 0.247 1
Si3 Si 0.957 0.377 0.580 1
S1 S 0.028 0.643 0.415 1
S2 S 0.029 0.345 0.916 1
S3 S 0.292 0.010 0.749 1
S4 S 0.322 0.047 0.415 1
S5 S 0.323 0.640 0.916 1
S6 S 0.362 0.975 0.081 1
S7 S 0.368 0.682 0.583 1
S8 S 0.619 0.051 0.916 1
S9 S 0.625 0.343 0.416 1
S10 S 0.656 0.968 0.583 1
S11 S 0.660 0.386 0.082 1
S12 S 0.691 0.311 0.749 1
S13 S 0.951 0.676 0.081 1
S14 S 0.988 0.302 0.248 1
S15 S 0.990 0.719 0.747 1
O1 O 0.005 0.189 0.911 1
O2 O 0.012 0.797 0.692 1
O3 O 0.016 0.821 0.409 1
O4 O 0.024 0.198 0.195 1
O5 O 0.109 0.370 0.862 1
O6 O 0.110 0.539 0.360 1
O7 O 0.123 0.514 0.081 1
O8 O 0.131 0.567 0.469 1
O9 O 0.133 0.320 0.970 1
O10 O 0.137 0.332 0.258 1
O11 O 0.139 0.381 0.581 1
O12 O 0.141 0.541 0.753 1
O13 O 0.158 0.034 0.410 1
O14 O 0.164 0.803 0.191 1
O15 O 0.167 0.816 0.910 1
O16 O 0.186 0.827 0.591 1
O17 O 0.188 0.037 0.696 1
O18 O 0.189 0.994 0.089 1
O19 O 0.193 0.852 0.306 1
O20 O 0.214 0.979 0.804 1
O21 O 0.295 0.155 0.468 1
O22 O 0.298 0.561 0.971 1
O23 O 0.309 0.526 0.257 1
O24 O 0.313 0.165 0.755 1
O25 O 0.344 0.125 0.359 1
O26 O 0.354 0.529 0.863 1
O27 O 0.357 0.144 0.081 1
O28 O 0.364 0.515 0.580 1
O29 O 0.438 0.715 0.528 1
O30 O 0.449 0.866 0.030 1
O31 O 0.469 0.850 0.742 1
O32 O 0.474 0.881 0.138 1
O33 O 0.477 0.871 0.420 1
O34 O 0.480 0.661 0.636 1
O35 O 0.481 0.699 0.240 1
O36 O 0.485 0.654 0.921 1
O37 O 0.498 0.374 0.081 1
O38 O 0.500 0.168 0.258 1
O39 O 0.504 0.147 0.581 1
O40 O 0.513 0.336 0.755 1
O41 O 0.515 0.131 0.862 1
O42 O 0.523 0.363 0.361 1
O43 O 0.539 0.161 0.970 1
O44 O 0.544 0.318 0.471 1
O45 O 0.631 0.881 0.637 1
O46 O 0.639 0.875 0.922 1
O47 O 0.640 0.500 0.137 1
O48 O 0.642 0.501 0.419 1
O49 O 0.673 0.491 0.741 1
O50 O 0.676 0.470 0.027 1
O51 O 0.681 0.866 0.529 1
O52 O 0.692 0.828 0.240 1
O53 O 0.771 0.071 0.192 1
O54 O 0.771 0.206 0.695 1
O55 O 0.795 0.038 0.910 1
O56 O 0.797 0.237 0.803 1
O57 O 0.803 0.183 0.410 1
O58 O 0.818 0.216 0.087 1
O59 O 0.818 0.980 0.590 1
O60 O 0.825 0.480 0.243 1
O61 O 0.825 0.704 0.742 1
O62 O 0.826 0.468 0.526 1
O63 O 0.834 0.973 0.305 1
O64 O 0.845 0.516 0.640 1
O65 O 0.846 0.694 0.029 1
O66 O 0.849 0.501 0.921 1
O67 O 0.849 0.671 0.419 1
O68 O 0.858 0.661 0.138 1
O69 O 0.955 0.222 0.302 1
O70 O 0.959 0.827 0.800 1
O71 O 0.966 0.192 0.589 1
O72 O 0.968 0.833 0.085 1
```

Computed properties:
total magnetic moment = 0.00 μB per cell
crystal system = triclinic
energy of formation = -2.17 eV/atom
total energy = -5.996 eV/atom